{"formula": "Ca2CdSb2", "functional": "PBE", "state": "optimized geometry", "cell": [[-3.6963, -1.9944, -2.0143], [0.6606, -5.7679, 4.4987], [-10.6412, 7.9060, 11.6991]], "species": ["Sb", "Sb", "Sb", "Sb", "Sb", "Sb", "Sb", "Sb", "Ca", "Ca", "Ca", "Ca", "Ca", "Ca", "Ca", "Ca", "Cd", "Cd", "Cd", "Cd"], "fractional_positions": [[0.2500, 0.7420, 0.5707], [0.7500, 0.7580, 0.0707], [0.2500, 0.2420, 0.9293], [0.7500, 0.2556, 0.6832], [0.7500, 0.7556, 0.8168], [0.2500, 0.7444, 0.3168], [0.7500, 0.2580, 0.4293], [0.2500, 0.2444, 0.1832], [0.2500, 0.2285, 0.5533], [0.2500, 0.0353, 0.7722], [0.7500, 0.7715, 0.4467], [0.7500, 0.9647, 0.2278], [0.7500, 0.4647, 0.2722], [0.2500, 0.7285, 0.9467], [0.7500, 0.2715, 0.0533], [0.2500, 0.5353, 0.7278], [0.2500, 0.1372, 0.3492], [0.2500, 0.6372, 0.1508], [0.7500, 0.8628, 0.6508], [0.7500, 0.3628, 0.8492]], "total_energy_ev_per_atom": -3.424}

{"formula": "CaSmCd2", "functional": "PBE", "state": "optimized geometry", "cell": [[-3.9532, 0.6416, 3.6325], [-4.8855, 1.6844, -1.5904], [-4.1911, -3.4154, 0.0662]], "species": ["Cd", "Cd", "Ca", "Sm"], "fractional_positions": [[0.2500, 0.2500, 0.2500], [0.7500, 0.7500, 0.7500], [0.5000, 0.5000, 0.5000], [0.0000, 0.0000, 0.0000]], "total_energy_ev_per_atom": -2.500}